Material: Cs2O3
Method: DFT, PBE-GGA
State: relaxed

**Calculated formation energy**: -496 kJ/mol of formula units
**MP2020-corrected energy**: -4.36 eV per atom
**Symmetry**: I-43d
**Raw total energy**: -4.259 eV per atom

Cell lengths 8.5612, 8.5612, 8.5612 Å; angles 109.47, 109.47, 109.47 degrees
Last column: nearest neighbours and their distance in Å.
Fractional positions:
1 O 0.5543 0.7500 0.3043  1 O 1.40
2 O 0.2500 0.0543 0.8043  1 O 1.40
3 O 0.8043 0.2500 0.0543  1 O 1.40
4 O 0.9457 0.2500 0.1957  1 O 1.40
5 O 0.3043 0.5543 0.7500  1 O 1.40
6 O 0.6957 0.7500 0.4457  1 O 1.40
7 O 0.4457 0.6957 0.7500  1 O 1.40
8 O 0.7500 0.3043 0.5543  1 O 1.40
9 O 0.2500 0.1957 0.9457  1 O 1.40
10 O 0.1957 0.9457 0.2500  1 O 1.40
11 O 0.0543 0.8043 0.2500  1 O 1.40
12 O 0.7500 0.4457 0.6957  1 O 1.40
13 Cs 0.8982 0.8982 0.8982  9 O 3.02-3.34
14 Cs 0.0000 0.6018 0.5000  9 O 3.02-3.34
15 Cs 0.6018 0.5000 0.0000  9 O 3.02-3.34
16 Cs 0.5000 0.0000 0.1018  9 O 3.02-3.34
17 Cs 0.0000 0.1018 0.5000  9 O 3.02-3.34
18 Cs 0.3982 0.3982 0.3982  9 O 3.02-3.34
19 Cs 0.1018 0.5000 0.0000  9 O 3.02-3.34
20 Cs 0.5000 0.0000 0.6018  9 O 3.02-3.34


Material: CsO3
Method: DFT, PBE-GGA
State: relaxed

**Calculated formation energy**: -252 kJ/mol of formula units
**Symmetry**: P2_1/c
**Raw total energy**: -4.587 eV per atom

Cell lengths 6.4897, 6.9013, 8.1429 Å; angles 75.55, 90.00, 90.00 degrees
Last column: nearest neighbours and their distance in Å.
Fractional positions:
1 O 0.7795 0.8875 0.3778  2 O 1.37
2 O 0.0766 0.1937 0.7083  1 O 1.37
3 O 0.7513 0.7816 0.5427  1 O 1.37
4 O 0.4234 0.6937 0.2083  1 O 1.37
5 O 0.2205 0.1125 0.6222  2 O 1.37
6 O 0.2513 0.7184 0.9573  1 O 1.37
7 O 0.7205 0.3875 0.8778  2 O 1.37
8 O 0.7487 0.2816 0.0427  1 O 1.37
9 O 0.9234 0.8063 0.2917  1 O 1.37
10 O 0.2487 0.2184 0.4573  1 O 1.37
11 O 0.5766 0.3063 0.7917  1 O 1.37
12 O 0.2795 0.6125 0.1222  2 O 1.37
13 Cs 0.2541 0.6475 0.5851  9 O 3.19-3.39
14 Cs 0.2459 0.1475 0.0851  9 O 3.19-3.39
15 Cs 0.7541 0.8525 0.9149  9 O 3.19-3.39
16 Cs 0.7459 0.3525 0.4149  9 O 3.19-3.39


Material: Cs3PO4
Method: DFT, PBE-GGA
State: relaxed

**Calculated formation energy**: -1907 kJ/mol of formula units
**MP2020-corrected energy**: -5.96 eV per atom
**Symmetry**: Pnma
**Raw total energy**: -5.614 eV per atom

Cell lengths 6.5391, 9.0475, 12.4407 Å; angles 90.00, 90.00, 90.00 degrees
Last column: nearest neighbours and their distance in Å.
Fractional positions:
1 Cs 0.1830 0.9924 0.3554  6 O 3.07-3.27
2 Cs 0.3568 0.2500 0.5772  6 O 2.98-3.26
3 Cs 0.6432 0.7500 0.4228  6 O 2.98-3.26
4 Cs 0.8170 0.0076 0.6446  6 O 3.07-3.27
5 Cs 0.8170 0.4924 0.6446  6 O 3.07-3.27
6 Cs 0.3170 0.5076 0.8554  6 O 3.07-3.27
7 Cs 0.6830 0.4924 0.1446  6 O 3.07-3.27
8 Cs 0.3170 0.9924 0.8554  6 O 3.07-3.27
9 Cs 0.1830 0.5076 0.3554  6 O 3.07-3.27
10 Cs 0.8568 0.7500 0.9228  6 O 2.98-3.26
11 Cs 0.1432 0.2500 0.0772  6 O 2.98-3.26
12 Cs 0.6830 0.0076 0.1446  6 O 3.07-3.27
13 O 0.6334 0.1075 0.3919  1 P 1.57
14 O 0.1334 0.6075 0.1081  1 P 1.57
15 O 0.9263 0.2500 0.4818  1 P 1.58
16 O 0.5737 0.2500 0.9818  1 P 1.58
17 O 0.0737 0.7500 0.5182  1 P 1.58
18 O 0.3666 0.8925 0.6081  1 P 1.57
19 O 0.6066 0.2500 0.7773  1 P 1.57
20 O 0.3666 0.6075 0.6081  1 P 1.57
21 O 0.1334 0.8925 0.1081  1 P 1.57
22 O 0.6334 0.3925 0.3919  1 P 1.57
23 O 0.8666 0.3925 0.8919  1 P 1.57
24 O 0.1066 0.7500 0.7227  1 P 1.57
25 O 0.8666 0.1075 0.8919  1 P 1.57
26 O 0.3934 0.7500 0.2227  1 P 1.57
27 O 0.8934 0.2500 0.2773  1 P 1.57
28 O 0.4263 0.7500 0.0182  1 P 1.58
29 P 0.2695 0.7500 0.1143  4 O 1.57-1.58
30 P 0.2305 0.7500 0.6143  4 O 1.57-1.58
31 P 0.7305 0.2500 0.8857  4 O 1.57-1.58
32 P 0.7695 0.2500 0.3857  4 O 1.57-1.58